DFT (PBE+U) results for Li3Mn4P8O28 after structural relaxation.

Summary:
Space-group type: P1 (1)
E above lowest polymorph in meV/atom: 11

Cell: 9.6533 9.6109 11.1688 Å, 90.10 101.56 88.63°
Fractional coordinates of all 86 atoms:
O1 0.2025 0.8217 0.8114
P1 0.0745 0.9263 0.2476
O2 0.3191 0.7995 0.5948
O3 0.0239 0.2368 0.0911
O4 0.9085 0.0762 0.8872
P2 0.4734 0.9358 0.2433
O5 0.3868 0.8350 0.1513
O6 0.8971 0.6637 0.1680
O7 0.9851 0.5610 0.3868
O8 0.0785 0.9082 0.1127
O9 0.6050 0.1605 0.8304
O10 0.9714 0.7697 0.8827
P3 0.3830 0.2156 0.1234
P4 0.4262 0.4207 0.7534
O11 0.1899 0.2954 0.4127
O12 0.5249 0.2614 0.1112
P5 0.8732 0.8558 0.5714
P6 0.3765 0.6506 0.5817
O13 0.4695 0.7538 0.9095
Mn1 0.7734 0.2743 0.8395
O14 0.2152 0.0579 0.5296
O15 0.0354 0.8462 0.5777
O16 0.7945 0.9368 0.4601
O17 0.6402 0.4282 0.2949
O18 0.5348 0.6577 0.5785
O19 0.3663 0.0489 0.7798
O20 0.4184 0.3997 0.8874
Li1 0.3961 0.9588 0.5008
O21 0.1388 0.0713 0.3008
O22 0.7139 0.4327 0.5220
Mn2 0.3048 0.4299 0.3272
Mn3 0.2794 0.2285 0.8410
O23 0.3173 0.3136 0.6881
O24 0.1016 0.5868 0.7847
Mn4 0.7206 0.7719 0.1609
Mn5 0.1962 0.9293 0.6722
P7 0.8866 0.2781 0.1190
P8 0.1308 0.1504 0.4268
O25 0.1771 0.8084 0.3094
P9 0.9273 0.0714 0.7565
O26 0.6709 0.6851 0.3084
Li2 0.1529 0.4396 0.5313
O27 0.1026 0.3351 0.8431
Mn6 0.2228 0.7282 0.1601
O28 0.9236 0.9239 0.2740
O29 0.9751 0.1675 0.4363
O30 0.6859 0.6666 0.8227
P10 0.6259 0.3475 0.4171
O31 0.9006 0.4097 0.2107
P11 0.0202 0.4449 0.7569
O32 0.5763 0.4134 0.7277
Mn7 0.8049 0.0680 0.3293
O33 0.8172 0.7112 0.5862
O34 0.4802 0.9087 0.3749
O35 0.0105 0.4208 0.6218
O36 0.5863 0.5822 0.1089
O37 0.2876 0.1672 0.0020
O38 0.0804 0.0724 0.7320
P12 0.1155 0.7192 0.8753
Li3 0.8217 0.5888 0.4507
O39 0.8101 0.1718 0.1880
O40 0.1357 0.5452 0.2235
O41 0.4179 0.5776 0.2657
P13 0.5702 0.5730 0.2404
O42 0.2945 0.5623 0.4773
O43 0.2966 0.3231 0.1876
O44 0.2081 0.6664 0.9972
Mn8 0.6981 0.5743 0.6785
O45 0.7226 0.8341 0.9986
O46 0.8405 0.2006 0.6954
P14 0.5202 0.0529 0.7453
O47 0.6016 0.9079 0.7858
Li4 0.5808 0.4052 0.0219
O48 0.3606 0.5711 0.7053
Li5 0.9125 0.9041 0.9809
O49 0.3980 0.0862 0.2153
O50 0.6947 0.2051 0.4069
O51 0.4683 0.3395 0.4202
O52 0.7718 0.3313 0.0038
O53 0.5121 0.0662 0.6117
O54 0.8516 0.9394 0.6909
O55 0.6240 0.9428 0.2070
P15 0.6087 0.7849 0.8837
P16 0.9806 0.5505 0.2518
Li6 0.8788 0.2835 0.5454
O56 0.8654 0.4587 0.7861

DFT (PBE+U) results for Ca4MnFe11Si8H4O36 after structural relaxation.

Summary:
Space-group type: Pm (6)

Cell: 5.8738 8.9496 13.2059 Å, 89.99 90.00 90.00°
Fractional coordinates of all 64 atoms:
O1 0.7655 0.7710 0.4361
O2 0.2336 0.7286 0.9359
O3 0.7347 0.2728 0.0636
O4 0.0000 0.6093 0.2752
H1 0.0000 0.4343 0.7717
O5 0.0000 0.0278 0.9920
O6 0.5000 0.3913 0.7247
Fe1 0.7380 0.0502 0.1101
O7 0.5000 0.9685 0.0092
Ca1 0.0000 0.1309 0.6871
O8 0.0000 0.3908 0.7019
Fe2 0.2621 0.4502 0.6104
H2 0.5000 0.9338 0.7289
O9 0.5000 0.1029 0.4160
O10 0.2329 0.8300 0.1706
O11 0.0000 0.4740 0.4925
Fe3 0.5000 0.7399 0.0585
O12 0.5000 0.1089 0.2246
O13 0.7671 0.8300 0.1706
Si1 0.0000 0.6310 0.9588
O14 0.5000 0.5310 0.5090
Fe4 0.7630 0.5516 0.3900
O15 0.0000 0.0201 0.3952
O16 0.5000 0.8918 0.7988
Fe5 0.2620 0.0502 0.1101
O17 0.0000 0.1097 0.2016
Si2 0.5000 0.3695 0.0405
Si3 0.5000 0.2276 0.3211
O18 0.7340 0.1711 0.8298
O19 0.0000 0.4764 0.8971
Fe6 0.5000 0.7598 0.5587
Fe7 0.2368 0.9483 0.8903
Si4 0.0000 0.7277 0.1781
O20 0.7332 0.2277 0.5650
Mn1 0.0000 0.2388 0.4402
O21 0.7324 0.3305 0.3287
O22 0.7670 0.6705 0.6709
O23 0.2653 0.2728 0.0636
H3 0.0000 0.0648 0.2710
Si5 0.0000 0.7727 0.6782
O24 0.0000 0.8983 0.5838
O25 0.5000 0.3984 0.9157
H4 0.5000 0.5661 0.2288
Fe8 0.2370 0.5516 0.3900
O26 0.5000 0.6090 0.2985
Ca2 0.0000 0.3699 0.1869
O27 0.2330 0.6705 0.6709
Si6 0.5000 0.1309 0.5414
Fe9 0.7632 0.9483 0.8903
O28 0.2660 0.1711 0.8298
O29 0.0000 0.8914 0.7751
O30 0.7664 0.7286 0.9359
Si7 0.0000 0.8669 0.4588
O31 0.2676 0.3305 0.3287
O32 0.2668 0.2277 0.5650
Fe10 0.7379 0.4502 0.6104
Ca3 0.5000 0.6316 0.8136
O33 0.2345 0.7710 0.4361
Fe11 0.0000 0.2566 0.9413
Si8 0.5000 0.2732 0.8216
O34 0.5000 0.9743 0.6019
O35 0.0000 0.6017 0.0842
Ca4 0.5000 0.8685 0.3133
O36 0.5000 0.5254 0.1017

DFT (PBE+U) results for MnC6S2NO5F6 after structural relaxation.

Summary:
Space-group type: Pnma (62)

Cell: 10.3132 10.4927 12.1359 Å, 90.00 90.00 90.00°
Fractional coordinates of all 84 atoms:
Mn1 0.7500 0.9417 0.1471
O1 0.2500 0.2965 0.1409
O2 0.9567 0.7294 0.5510
F1 0.7500 0.5726 0.1255
O3 0.7500 0.7035 0.8591
N1 0.2500 0.7611 0.4192
C1 0.7500 0.2036 0.9872
O4 0.0358 0.6197 0.2755
F2 0.2500 0.4274 0.8745
C2 0.7500 0.6465 0.7775
S1 0.7500 0.0804 0.5986
C3 0.1189 0.5546 0.3048
S2 0.7500 0.4196 0.0986
O5 0.0358 0.8803 0.7755
C4 0.2500 0.3535 0.2225
C5 0.6220 0.8356 0.0882
C6 0.1189 0.9454 0.8048
Mn2 0.7500 0.5583 0.6471
F3 0.2500 0.7334 0.1114
O6 0.9567 0.7706 0.0510
F4 0.1392 0.5947 0.8076
C7 0.8811 0.4454 0.6952
O7 0.5358 0.1197 0.2245
O8 0.0433 0.2294 0.9490
Mn3 0.2500 0.0583 0.8529
Mn4 0.2500 0.4417 0.3529
C8 0.1220 0.3356 0.4118
C9 0.8780 0.6644 0.5882
S3 0.7500 0.0420 0.9681
F5 0.3620 0.5508 0.9926
C10 0.6189 0.0546 0.1952
N2 0.7500 0.2611 0.0808
O9 0.4567 0.2294 0.9490
O10 0.5358 0.3803 0.7245
F6 0.8620 0.4492 0.0074
F7 0.7500 0.2334 0.3886
O11 0.4567 0.2706 0.4490
O12 0.9642 0.1197 0.2245
C11 0.8811 0.0546 0.1952
C12 0.6220 0.6644 0.5882
F8 0.6392 0.4053 0.1924
F9 0.6380 0.4492 0.0074
S4 0.2500 0.9196 0.4014
C13 0.3811 0.9454 0.8048
C14 0.3780 0.1644 0.9118
F10 0.3620 0.9492 0.4926
F11 0.1392 0.9053 0.3076
C15 0.2500 0.7964 0.0128
S5 0.2500 0.5804 0.9014
C16 0.2500 0.7036 0.5128
O13 0.0433 0.2706 0.4490
S6 0.7500 0.4580 0.4681
F12 0.6392 0.0947 0.6924
O14 0.2500 0.2035 0.6409
C17 0.6189 0.4454 0.6952
F13 0.8620 0.0508 0.5074
O15 0.5433 0.7706 0.0510
O16 0.7500 0.7965 0.3591
N3 0.2500 0.7389 0.9192
S7 0.2500 0.5420 0.5319
O17 0.4642 0.8803 0.7755
F14 0.3608 0.9053 0.3076
C18 0.7500 0.8535 0.2775
C19 0.7500 0.2964 0.4872
C20 0.3780 0.3356 0.4118
F15 0.1380 0.5508 0.9926
F16 0.2500 0.7666 0.6114
F17 0.3608 0.5947 0.8076
O18 0.5433 0.7294 0.5510
F18 0.8608 0.0947 0.6924
S8 0.2500 0.9580 0.0319
C21 0.8780 0.8356 0.0882
F19 0.6380 0.0508 0.5074
C22 0.3811 0.5546 0.3048
N4 0.7500 0.2389 0.5808
F20 0.7500 0.9274 0.6255
F21 0.2500 0.0726 0.3745
O19 0.4642 0.6197 0.2755
C23 0.1220 0.1644 0.9118
F22 0.8608 0.4053 0.1924
F23 0.1380 0.9492 0.4926
O20 0.9642 0.3803 0.7245
C24 0.2500 0.1465 0.7225
F24 0.7500 0.2666 0.8886

DFT (PBE+U) results for Co2OF3 after structural relaxation.

Summary:
Space-group type: C2/m (12)
E above lowest polymorph in meV/atom: 48

Cell: 5.6449 5.6449 9.0672 Å, 86.54 86.54 72.01°
Fractional coordinates of all 24 atoms:
Co1 0.5000 0.5000 0.5000
F1 0.4790 0.4790 0.7306
F2 0.7265 0.7265 0.4600
O1 0.7758 0.7758 0.0313
F3 0.4322 0.0524 0.2600
Co2 0.2557 0.2557 0.7679
Co3 0.3584 0.3584 0.1175
F4 0.9692 0.9692 0.2320
Co4 0.0000 0.0000 0.0000
F5 0.9476 0.5678 0.7400
Co5 0.7443 0.7443 0.2321
F6 0.6958 0.3042 0.0000
O2 0.2242 0.2242 0.9687
F7 0.2735 0.2735 0.5400
O3 0.7813 0.2187 0.5000
F8 0.5678 0.9476 0.7400
F9 0.0308 0.0308 0.7680
O4 0.2187 0.7813 0.5000
Co6 0.6416 0.6416 0.8825
Co7 0.1070 0.1070 0.3975
F10 0.5210 0.5210 0.2694
F11 0.0524 0.4322 0.2600
Co8 0.8930 0.8930 0.6025
F12 0.3042 0.6958 0.0000

Number 1: DFT formation energy -2.4392 eV/atom. Number 2: DFT formation energy -2.4695 eV/atom. Number 3: DFT formation energy -1.0703 eV/atom. Number 4: DFT formation energy -1.9324 eV/atom.